<A>
A relaxed structure of LaScSi, computed with PBE.

```
LaScSi
1.0
4.564 -6.387 1.314
-1.910 -7.185 2.842
-1.931 5.714 -5.194
La Sc Si
2 2 2
direct
0.143 0.143 0.000
0.857 0.857 0.000
0.397 0.397 0.000
0.603 0.603 0.000
0.500 0.000 0.500
0.000 0.500 0.500
```

<B>
A relaxed structure of LaScSi, computed with PBE.

```
LaScSi
1.0
5.609 -6.381 1.710
1.265 -6.071 6.054
-5.180 4.264 -5.485
La Sc Si
2 2 2
direct
0.324 0.324 0.000
0.676 0.676 0.000
0.500 0.000 0.500
0.000 0.500 0.500
0.118 0.118 0.000
0.882 0.882 0.000
```

Of them, <A> has the lowest stability.

<A>
A relaxed structure of La5Sn3, computed with PBE.

```
La5Sn3
1.0
-6.420 6.420 3.182
6.420 -6.420 3.182
6.420 6.420 -3.182
La Sn
10 6
direct
0.750 0.250 0.500
0.250 0.750 0.500
0.914 0.217 0.131
0.217 0.086 0.303
0.783 0.914 0.697
0.086 0.783 0.869
0.717 0.414 0.131
0.283 0.586 0.869
0.586 0.717 0.303
0.414 0.283 0.697
0.750 0.750 0.000
0.250 0.250 0.000
0.840 0.660 0.500
0.660 0.160 0.820
0.340 0.840 0.180
0.160 0.340 0.500
```

<B>
A relaxed structure of La5Sn3, computed with PBE.

```
La5Sn3
1.0
4.980 3.041 -7.582
-9.503 -0.942 -0.583
-0.781 6.566 2.121
La Sn
10 6
direct
0.667 0.333 0.000
0.333 0.667 0.000
0.333 0.667 0.500
0.667 0.333 0.500
0.751 0.751 0.750
0.249 0.000 0.750
0.000 0.249 0.750
0.249 0.249 0.250
0.751 0.000 0.250
0.000 0.751 0.250
0.390 0.390 0.750
0.610 0.000 0.750
0.000 0.610 0.750
0.610 0.610 0.250
0.390 0.000 0.250
0.000 0.390 0.250
```

Of them, <B> has the lowest stability.

<A>
A relaxed structure of La3Tl, computed with PBE.

```
La3Tl
1.0
-2.492 2.492 5.270
2.492 -2.492 5.270
2.492 2.492 -5.270
La Tl
3 1
direct
0.750 0.250 0.500
0.250 0.750 0.500
0.500 0.500 0.000
0.000 0.000 0.000
```

<B>
A relaxed structure of La3Tl, computed with PBE.

```
La3Tl
1.0
-4.455 1.096 2.182
0.846 -3.566 3.518
2.291 3.448 2.944
La Tl
3 1
direct
0.000 0.500 0.500
0.500 0.500 0.000
0.500 0.000 0.500
0.000 0.000 0.000
```

Of them, <A> has the lowest stability.